[1]
First-principles (PBE+U) data for a relaxed WO3 crystal, as listed in the Materials Project.

The structure in CIF format:
```
data_WO3
_cell_length_a 7.719
_cell_length_b 7.719
_cell_length_c 3.883
_cell_angle_alpha 90.00
_cell_angle_beta 90.00
_cell_angle_gamma 90.00
_symmetry_space_group_name_H-M 'P -4 21 m'
_symmetry_Int_Tables_number 113
_symmetry_space_group_name_Hall 'P -4 2ab'
loop_
_atom_site_label
_atom_site_fract_x
_atom_site_fract_y
_atom_site_fract_z
W1 0.240 0.260 0.469
O1 0.003 0.750 0.499
O2 0.248 0.252 0.993
```

E, eV/atom: -7.5102
Density, g/cm3: 6.7
Crystal system: tetragonal

---

[2]
First-principles (PBE+U) data for a relaxed WO2 crystal, as listed in the Materials Project.

The structure in CIF format:
```
data_WO2
_cell_length_a 10.648
_cell_length_b 10.648
_cell_length_c 3.302
_cell_angle_alpha 90.00
_cell_angle_beta 90.00
_cell_angle_gamma 90.00
_symmetry_space_group_name_H-M 'I 4/m'
_symmetry_Int_Tables_number 87
_symmetry_space_group_name_Hall '-I 4'
loop_
_atom_site_label
_atom_site_fract_x
_atom_site_fract_y
_atom_site_fract_z
W1 0.153 0.338 0.000
O1 0.037 0.663 0.000
O2 0.159 0.213 0.500
```

E, eV/atom: -7.6115
Density, g/cm3: 7.7
Crystal system: tetragonal

---

[3]
First-principles (PBE+U) data for a relaxed WO3 crystal, as listed in the Materials Project.

The structure in CIF format:
```
data_WO3
_cell_length_a 5.415
_cell_length_b 5.359
_cell_length_c 7.725
_cell_angle_alpha 90.00
_cell_angle_beta 90.91
_cell_angle_gamma 90.00
_symmetry_space_group_name_H-M 'P 1 21/c 1'
_symmetry_Int_Tables_number 14
_symmetry_space_group_name_Hall '-P 2ybc'
loop_
_atom_site_label
_atom_site_fract_x
_atom_site_fract_y
_atom_site_fract_z
W1 0.249 0.244 0.230
O1 0.030 0.528 0.277
O2 0.249 0.197 0.496
O3 0.473 0.528 0.723
```

E, eV/atom: -7.5094
Density, g/cm3: 6.9
Crystal system: monoclinic

---

[4]
First-principles (PBE+U) data for a relaxed WO3 crystal, as listed in the Materials Project.

The structure in CIF format:
```
data_WO3
_cell_length_a 7.676
_cell_length_b 7.771
_cell_length_c 7.735
_cell_angle_alpha 90.00
_cell_angle_beta 90.00
_cell_angle_gamma 90.00
_symmetry_space_group_name_H-M 'P b c n'
_symmetry_Int_Tables_number 60
_symmetry_space_group_name_Hall '-P 2n 2ab'
loop_
_atom_site_label
_atom_site_fract_x
_atom_site_fract_y
_atom_site_fract_z
W1 0.249 0.234 0.016
O1 0.000 0.242 0.513
O2 0.237 0.245 0.256
O3 0.242 0.497 0.003
```

E, eV/atom: -7.5096
Density, g/cm3: 6.7
Crystal system: orthorhombic

---

[5]
First-principles (PBE+U) data for a relaxed WO3 crystal, as listed in the Materials Project.

The structure in CIF format:
```
data_WO3
_cell_length_a 5.346
_cell_length_b 5.411
_cell_length_c 7.713
_cell_angle_alpha 90.00
_cell_angle_beta 90.00
_cell_angle_gamma 90.00
_symmetry_space_group_name_H-M 'P 21 21 21'
_symmetry_Int_Tables_number 19
_symmetry_space_group_name_Hall 'P 2ac 2ab'
loop_
_atom_site_label
_atom_site_fract_x
_atom_site_fract_y
_atom_site_fract_z
W1 0.249 0.000 0.019
O1 0.026 0.273 0.971
O2 0.031 0.276 0.530
O3 0.192 0.003 0.254
```

E, eV/atom: -7.5074
Piezoelectric modulus e_max, C/m2: 0.2
Density, g/cm3: 6.9
Crystal system: orthorhombic

---

[6]
First-principles (PBE+U) data for a relaxed W2O3 crystal, as listed in the Materials Project.

The structure in CIF format:
```
data_W2O3
_cell_length_a 3.431
_cell_length_b 9.918
_cell_length_c 15.798
_cell_angle_alpha 90.00
_cell_angle_beta 90.00
_cell_angle_gamma 90.00
_symmetry_space_group_name_H-M 'C m c m'
_symmetry_Int_Tables_number 63
_symmetry_space_group_name_Hall '-C 2c 2'
loop_
_atom_site_label
_atom_site_fract_x
_atom_site_fract_y
_atom_site_fract_z
W1 0.000 0.096 0.132
W2 0.000 0.336 0.035
O1 0.000 0.000 0.000
O2 0.000 0.155 0.250
O3 0.000 0.260 0.599
O4 0.000 0.472 0.135
```

E, eV/atom: -6.9243
Density, g/cm3: 10.3
Crystal system: orthorhombic

---

[7]
First-principles (PBE+U) data for a relaxed WO3 crystal, as listed in the Materials Project.

The structure in CIF format:
```
data_WO3
_cell_length_a 3.893
_cell_length_b 7.750
_cell_length_c 7.676
_cell_angle_alpha 90.00
_cell_angle_beta 90.00
_cell_angle_gamma 90.00
_symmetry_space_group_name_H-M 'P b c m'
_symmetry_Int_Tables_number 57
_symmetry_space_group_name_Hall '-P 2c 2b'
loop_
_atom_site_label
_atom_site_fract_x
_atom_site_fract_y
_atom_site_fract_z
W1 0.033 0.020 0.250
O1 0.000 0.000 0.000
O2 0.002 0.241 0.750
O3 0.492 0.513 0.250
```

E, eV/atom: -7.5091
Density, g/cm3: 6.6
Crystal system: orthorhombic

---

[8]
First-principles (PBE+U) data for a relaxed WO3 crystal, as listed in the Materials Project.

The structure in CIF format:
```
data_WO3
_cell_length_a 7.402
_cell_length_b 7.580
_cell_length_c 8.435
_cell_angle_alpha 101.28
_cell_angle_beta 90.10
_cell_angle_gamma 90.05
_symmetry_space_group_name_H-M 'P 1'
_symmetry_Int_Tables_number 1
_symmetry_space_group_name_Hall 'P 1'
loop_
_atom_site_label
_atom_site_fract_x
_atom_site_fract_y
_atom_site_fract_z
W1 0.000 0.000 0.000
W2 0.000 0.498 0.020
W3 0.249 0.659 0.702
W4 0.251 0.291 0.323
W5 0.499 0.924 0.445
W6 0.750 0.290 0.322
W7 0.751 0.658 0.701
O1 0.000 0.215 0.928
O2 0.000 0.290 0.388
O3 0.000 0.650 0.630
O4 0.000 0.743 0.085
O5 0.180 0.444 0.172
O6 0.182 0.511 0.854
O7 0.183 0.870 0.857
O8 0.184 0.084 0.153
O9 0.292 0.469 0.513
O10 0.321 0.822 0.564
O11 0.323 0.111 0.442
O12 0.496 0.793 0.252
O13 0.500 0.302 0.254
O14 0.500 0.651 0.765
O15 0.677 0.109 0.440
O16 0.678 0.819 0.562
O17 0.708 0.467 0.513
O18 0.815 0.083 0.152
O19 0.818 0.510 0.853
O20 0.818 0.870 0.856
O21 0.820 0.443 0.172
```

E, eV/atom: -7.4739
Density, g/cm3: 5.8
Crystal system: triclinic